1.
Below is a relaxed La5Ti4FeO17 crystal, with properties calculated at the PBE+U level.

Calculated volume, Å³ per atom: 12.866
VASP energy, eV per atom: -8.584
Formation energy from the elements, meV/atom: -3587
Space-group type: Pnnm, No. 58

```
data_La5Ti4FeO17
_cell_length_a 3.9727
_cell_length_b 5.5571
_cell_length_c 31.4704
_cell_angle_alpha 90.00
_cell_angle_beta 90.00
_cell_angle_gamma 90.00
_symmetry_space_group_name_H-M 'P 1'
_symmetry_Int_Tables_number 1
_symmetry_space_group_name_Hall 'P 1'
loop_
_atom_site_label
_atom_site_fract_x
_atom_site_fract_y
_atom_site_fract_z
_atom_site_occupancy
La1 0.0000 0.9803 0.4095 1
Ti1 0.5000 0.5050 0.5918 1
La2 0.0000 0.4518 0.7132 1
Ti2 0.0000 0.4853 0.8222 1
Ti3 0.5000 0.4950 0.4082 1
O1 0.0000 0.4936 0.4158 1
O2 0.5000 0.7928 0.4460 1
La3 0.5000 0.0000 0.0000 1
O3 0.5000 0.7944 0.2760 1
O4 0.0000 0.9893 0.3284 1
O5 0.5000 0.5000 0.0000 1
O6 0.5000 0.7024 0.3622 1
Ti4 0.5000 0.9853 0.6778 1
Fe1 0.5000 0.0000 0.5000 1
O7 0.0000 0.7056 0.7760 1
La4 0.0000 0.0197 0.5905 1
Ti5 0.0000 0.9950 0.0918 1
O8 0.5000 0.2056 0.7240 1
O9 0.0000 0.8040 0.0353 1
O10 0.5000 0.7195 0.7126 1
O11 0.5000 0.8101 0.6213 1
O12 0.0000 0.3101 0.8787 1
O13 0.0000 0.6899 0.1213 1
O14 0.0000 0.2928 0.0540 1
La5 0.5000 0.9518 0.7868 1
La6 0.5000 0.4803 0.0905 1
O15 0.5000 0.2805 0.2874 1
O16 0.0000 0.7805 0.2126 1
O17 0.0000 0.5064 0.5842 1
O18 0.5000 0.3040 0.4647 1
Fe2 0.0000 0.5000 0.0000 1
O19 0.5000 0.2976 0.6378 1
O20 0.0000 0.0000 0.5000 1
O21 0.0000 0.2944 0.2240 1
O22 0.0000 0.1960 0.9647 1
O23 0.0000 0.7976 0.8622 1
O24 0.5000 0.6960 0.5353 1
O25 0.5000 0.4893 0.1716 1
O26 0.5000 0.1899 0.3787 1
O27 0.5000 0.0064 0.9158 1
Ti6 0.5000 0.0147 0.3222 1
La7 0.5000 0.0482 0.2132 1
O28 0.5000 0.2072 0.5540 1
O29 0.0000 0.7072 0.9460 1
O30 0.0000 0.2024 0.1378 1
La8 0.0000 0.5482 0.2868 1
O31 0.0000 0.0107 0.6716 1
O32 0.5000 0.5107 0.8284 1
La9 0.0000 0.5000 0.5000 1
Ti7 0.0000 0.5147 0.1778 1
Ti8 0.0000 0.0050 0.9082 1
O33 0.5000 0.9936 0.0842 1
La10 0.5000 0.5197 0.9095 1
O34 0.0000 0.2195 0.7874 1
```

2.
Below is a relaxed YMn2AsO4 crystal, with properties calculated at the PBE+U level.

Calculated volume, Å³ per atom: 18.553
VASP energy, eV per atom: -6.973
Formation energy from the elements, meV/atom: -1579
Space-group type: Pban, No. 50

```
data_YMn2AsO4
_cell_length_a 6.5196
_cell_length_b 7.0199
_cell_length_c 12.9723
_cell_angle_alpha 90.00
_cell_angle_beta 90.00
_cell_angle_gamma 90.00
_symmetry_space_group_name_H-M 'P 1'
_symmetry_Int_Tables_number 1
_symmetry_space_group_name_Hall 'P 1'
loop_
_atom_site_label
_atom_site_fract_x
_atom_site_fract_y
_atom_site_fract_z
_atom_site_occupancy
Y1 0.0000 0.2500 0.2500 1
Y2 0.0000 0.7500 0.7500 1
As1 0.5000 0.2500 0.7500 1
O1 0.1401 0.1389 0.3990 1
Mn1 0.7955 0.3252 0.9520 1
As2 0.5000 0.2500 0.2500 1
O2 0.7433 0.8590 0.1599 1
Y3 0.0000 0.2500 0.7500 1
O3 0.7433 0.6410 0.6599 1
O4 0.2567 0.8590 0.8401 1
O5 0.2567 0.6410 0.3401 1
Mn2 0.2045 0.1748 0.5480 1
O6 0.7433 0.3590 0.3401 1
O7 0.1401 0.6389 0.1010 1
O8 0.2567 0.3590 0.6599 1
Mn3 0.2045 0.3252 0.0480 1
O9 0.8599 0.3611 0.1010 1
O10 0.8599 0.6389 0.8990 1
O11 0.8599 0.1389 0.6010 1
Mn4 0.2045 0.8252 0.4520 1
O12 0.8599 0.8611 0.3990 1
Mn5 0.7955 0.1748 0.4520 1
Mn6 0.2045 0.6748 0.9520 1
Y4 0.0000 0.7500 0.2500 1
O13 0.2567 0.1410 0.1599 1
As3 0.5000 0.7500 0.7500 1
O14 0.1401 0.8611 0.6010 1
Mn7 0.7955 0.8252 0.5480 1
O15 0.1401 0.3611 0.8990 1
O16 0.7433 0.1410 0.8401 1
As4 0.5000 0.7500 0.2500 1
Mn8 0.7955 0.6748 0.0480 1
```

3.
Below is a relaxed TbCuW2O8 crystal, with properties calculated at the PBE+U level.

Calculated volume, Å³ per atom: 12.945
VASP energy, eV per atom: -7.360
Formation energy from the elements, meV/atom: -2371
Space-group type: P-1, No. 2

```
data_TbCuW2O8
_cell_length_a 7.1187
_cell_length_b 7.3602
_cell_length_c 7.4240
_cell_angle_alpha 113.85
_cell_angle_beta 116.02
_cell_angle_gamma 90.96
_symmetry_space_group_name_H-M 'P 1'
_symmetry_Int_Tables_number 1
_symmetry_space_group_name_Hall 'P 1'
loop_
_atom_site_label
_atom_site_fract_x
_atom_site_fract_y
_atom_site_fract_z
_atom_site_occupancy
W1 0.2528 0.2931 0.0199 1
O1 0.7126 0.0144 0.4945 1
Cu1 0.7290 0.3172 0.9375 1
O2 0.1796 0.6277 0.5523 1
O3 0.1718 0.3298 0.7693 1
O4 0.0287 0.3060 0.0838 1
O5 0.6176 0.8149 0.7350 1
O6 0.2874 0.9856 0.5055 1
W2 0.3496 0.8886 0.7063 1
O7 0.8282 0.6702 0.2307 1
Tb1 0.1803 0.2855 0.4545 1
W3 0.6504 0.1114 0.2937 1
Cu2 0.2710 0.6828 0.0625 1
O8 0.9713 0.6940 0.9162 1
O9 0.4825 0.8289 0.0133 1
O10 0.4504 0.5456 0.2426 1
O11 0.8683 0.0196 0.2024 1
O12 0.5496 0.4544 0.7574 1
W4 0.7472 0.7069 0.9801 1
Tb2 0.8197 0.7145 0.5455 1
O13 0.8204 0.3723 0.4477 1
O14 0.5175 0.1711 0.9867 1
O15 0.3824 0.1851 0.2650 1
O16 0.1317 0.9804 0.7976 1
```

4.
Below is a relaxed Li4FeOF4 crystal, with properties calculated at the PBE+U level.

Calculated volume, Å³ per atom: 9.263
VASP energy, eV per atom: -5.152
Formation energy from the elements, meV/atom: -2760

```
data_Li4FeOF4
_cell_length_a 6.8024
_cell_length_b 8.0070
_cell_length_c 6.8024
_cell_angle_alpha 90.00
_cell_angle_beta 90.00
_cell_angle_gamma 90.00
_symmetry_space_group_name_H-M 'P 1'
_symmetry_Int_Tables_number 1
_symmetry_space_group_name_Hall 'P 1'
loop_
_atom_site_label
_atom_site_fract_x
_atom_site_fract_y
_atom_site_fract_z
_atom_site_occupancy
F1 0.6029 0.2340 0.1908 1
F2 0.3092 0.4840 0.1029 1
Li1 0.2920 0.2340 0.0907 1
Li2 0.0907 0.2340 0.7080 1
F3 0.8092 0.7340 0.6029 1
Li3 0.5907 0.9840 0.2080 1
Li4 0.4093 0.9840 0.7920 1
F4 0.1908 0.7340 0.3971 1
Fe1 0.0000 0.4842 0.0000 1
O1 0.0000 0.2341 0.0000 1
Li5 0.0907 0.7340 0.7080 1
Li6 0.4093 0.4840 0.7920 1
Li7 0.9093 0.2340 0.2920 1
F5 0.1029 0.4840 0.6908 1
Li8 0.2920 0.7340 0.0907 1
Fe2 0.0000 0.9842 0.0000 1
O2 0.5000 0.9841 0.5000 1
Li9 0.5907 0.4840 0.2080 1
F6 0.1908 0.2340 0.3971 1
Li10 0.2080 0.4840 0.4093 1
Li11 0.7920 0.9840 0.5907 1
Li12 0.7920 0.4840 0.5907 1
F7 0.6029 0.7340 0.1908 1
F8 0.6908 0.4840 0.8971 1
Fe3 0.5000 0.2342 0.5000 1
Fe4 0.5000 0.7342 0.5000 1
F9 0.8971 0.4840 0.3092 1
F10 0.3971 0.7340 0.8092 1
F11 0.8092 0.2340 0.6029 1
O3 0.5000 0.4841 0.5000 1
F12 0.6908 0.9840 0.8971 1
Li13 0.7080 0.2340 0.9093 1
Li14 0.2080 0.9840 0.4093 1
Li15 0.9093 0.7340 0.2920 1
O4 0.0000 0.7341 0.0000 1
F13 0.3971 0.2340 0.8092 1
F14 0.8971 0.9840 0.3092 1
F15 0.3092 0.9840 0.1029 1
F16 0.1029 0.9840 0.6908 1
Li16 0.7080 0.7340 0.9093 1
```

5.
Below is a relaxed RbW8O32 crystal, with properties calculated at the PBE+U level.

Calculated volume, Å³ per atom: 16.509
VASP energy, eV per atom: -6.456
Formation energy from the elements, meV/atom: -1444
Space-group type: C2/m, No. 12

```
data_RbW8O32
_cell_length_a 9.5990
_cell_length_b 9.5990
_cell_length_c 10.8765
_cell_angle_alpha 68.26
_cell_angle_beta 68.26
_cell_angle_gamma 47.62
_symmetry_space_group_name_H-M 'P 1'
_symmetry_Int_Tables_number 1
_symmetry_space_group_name_Hall 'P 1'
loop_
_atom_site_label
_atom_site_fract_x
_atom_site_fract_y
_atom_site_fract_z
_atom_site_occupancy
W1 0.1235 0.6309 0.7586 1
O1 0.1602 0.1602 0.8522 1
O2 0.1274 0.1274 0.5757 1
O3 0.3529 0.8429 0.0847 1
W2 0.3691 0.8765 0.2414 1
O4 0.8520 0.3889 0.4218 1
W3 0.6239 0.1212 0.3993 1
O5 0.1480 0.6111 0.5782 1
Rb1 0.5000 0.5000 0.0000 1
O6 0.9930 0.4697 0.1434 1
O7 0.6425 0.0778 0.2387 1
O8 0.8726 0.8726 0.4243 1
O9 0.6471 0.1571 0.9153 1
W4 0.8765 0.3691 0.2414 1
O10 0.4697 0.9930 0.1434 1
O11 0.9222 0.3575 0.7613 1
O12 0.3663 0.3663 0.3906 1
O13 0.1571 0.6471 0.9153 1
O14 0.2688 0.7517 0.6845 1
W5 0.6309 0.1235 0.7586 1
O15 0.3889 0.8520 0.4218 1
O16 0.6126 0.6126 0.2486 1
O17 0.6337 0.6337 0.6094 1
O18 0.8429 0.3529 0.0847 1
O19 0.8946 0.8946 0.7321 1
W6 0.8788 0.3761 0.6007 1
W7 0.1212 0.6239 0.3993 1
O20 0.7312 0.2483 0.3155 1
O21 0.0000 0.5000 0.5000 1
O22 0.6111 0.1480 0.5782 1
W8 0.3761 0.8788 0.6007 1
O23 0.0070 0.5303 0.8566 1
O24 0.2483 0.7312 0.3155 1
O25 0.5000 0.0000 0.5000 1
O26 0.3575 0.9222 0.7613 1
O27 0.3874 0.3874 0.7514 1
O28 0.8398 0.8398 0.1478 1
O29 0.0778 0.6425 0.2387 1
O30 0.7517 0.2688 0.6845 1
O31 0.1054 0.1054 0.2679 1
O32 0.5303 0.0070 0.8566 1
```

6.
Below is a relaxed BaMnO3 crystal, with properties calculated at the PBE+U level.

Calculated volume, Å³ per atom: 13.707
VASP energy, eV per atom: -6.903
Formation energy from the elements, meV/atom: -2464
Space-group type: P-6m2, No. 187

```
data_BaMnO3
_cell_length_a 5.7597
_cell_length_b 5.7597
_cell_length_c 14.3134
_cell_angle_alpha 90.00
_cell_angle_beta 90.00
_cell_angle_gamma 120.00
_symmetry_space_group_name_H-M 'P 1'
_symmetry_Int_Tables_number 1
_symmetry_space_group_name_Hall 'P 1'
loop_
_atom_site_label
_atom_site_fract_x
_atom_site_fract_y
_atom_site_fract_z
_atom_site_occupancy
O1 0.5216 0.0432 0.0000 1
Ba1 0.0000 0.0000 0.0000 1
O2 0.5216 0.4784 0.0000 1
O3 0.8510 0.7019 0.5000 1
Mn1 0.6667 0.3333 0.0908 1
O4 0.1476 0.2952 0.6735 1
O5 0.3348 0.1674 0.1651 1
O6 0.8326 0.1674 0.1651 1
Ba2 0.3333 0.6667 0.8317 1
O7 0.8326 0.6652 0.1651 1
O8 0.1476 0.8524 0.3265 1
Mn2 0.0000 0.0000 0.2351 1
O9 0.8510 0.1490 0.5000 1
O10 0.7048 0.8524 0.3265 1
Ba3 0.3333 0.6667 0.1683 1
Ba4 0.6667 0.3333 0.3355 1
Mn3 0.0000 0.0000 0.7649 1
O11 0.8326 0.6652 0.8349 1
O12 0.8326 0.1674 0.8349 1
O13 0.9568 0.4784 0.0000 1
O14 0.1476 0.2952 0.3265 1
O15 0.3348 0.1674 0.8349 1
O16 0.1476 0.8524 0.6735 1
O17 0.7048 0.8524 0.6735 1
Ba5 0.3333 0.6667 0.5000 1
Mn4 0.0000 0.0000 0.4124 1
Ba6 0.6667 0.3333 0.6645 1
O18 0.2981 0.1490 0.5000 1
Mn5 0.6667 0.3333 0.9092 1
Mn6 0.0000 0.0000 0.5876 1
```

7.
Below is a relaxed LiCr2P3O12 crystal, with properties calculated at the PBE+U level.

ΔE to the lowest computed polymorph, kJ per mole of atoms: 0.18
Calculated volume, Å³ per atom: 12.240
VASP energy, eV per atom: -7.165
Formation energy from the elements, meV/atom: -2465
Space-group type: C2/c, No. 15

```
data_LiCr2P3O12
_cell_length_a 8.5059
_cell_length_b 8.5059
_cell_length_c 8.5615
_cell_angle_alpha 60.12
_cell_angle_beta 60.12
_cell_angle_gamma 60.56
_symmetry_space_group_name_H-M 'P 1'
_symmetry_Int_Tables_number 1
_symmetry_space_group_name_Hall 'P 1'
loop_
_atom_site_label
_atom_site_fract_x
_atom_site_fract_y
_atom_site_fract_z
_atom_site_occupancy
O1 0.3793 0.6834 0.5191 1
O2 0.2589 0.4140 0.5606 1
O3 0.0903 0.4434 0.2340 1
Cr1 0.8625 0.3634 0.3527 1
O4 0.6207 0.3166 0.4809 1
O5 0.9896 0.8749 0.7017 1
O6 0.9349 0.2359 0.5841 1
O7 0.6834 0.3793 0.0191 1
O8 0.4434 0.0903 0.7340 1
O9 0.4140 0.2589 0.0606 1
O10 0.5566 0.9097 0.2660 1
P1 0.9595 0.0405 0.7500 1
P2 0.4551 0.2525 0.5362 1
P3 0.0405 0.9595 0.2500 1
P4 0.2525 0.4551 0.0362 1
P5 0.5449 0.7475 0.4638 1
O11 0.9097 0.5566 0.7660 1
Li1 0.5000 0.0000 0.0000 1
Cr2 0.6366 0.1375 0.1473 1
O12 0.4775 0.1870 0.3857 1
O13 0.7411 0.5860 0.4394 1
P6 0.7475 0.5449 0.9638 1
O14 0.5860 0.7411 0.9394 1
O15 0.8749 0.9896 0.2017 1
Cr3 0.1375 0.6366 0.6473 1
Li2 0.0000 0.5000 0.5000 1
O16 0.1251 0.0104 0.7983 1
O17 0.5225 0.8130 0.6143 1
O18 0.2359 0.9349 0.0841 1
O19 0.8130 0.5225 0.1143 1
O20 0.0104 0.1251 0.2983 1
Cr4 0.3634 0.8625 0.8527 1
O21 0.3166 0.6207 0.9809 1
O22 0.0651 0.7641 0.4159 1
O23 0.1870 0.4775 0.8857 1
O24 0.7641 0.0651 0.9159 1
```

8.
Below is a relaxed HoV2ZnO6 crystal, with properties calculated at the PBE+U level.

Calculated volume, Å³ per atom: 10.927
VASP energy, eV per atom: -7.323
Formation energy from the elements, meV/atom: -2706
Space-group type: Pc, No. 7

```
data_HoV2ZnO6
_cell_length_a 5.4412
_cell_length_b 5.2678
_cell_length_c 9.2379
_cell_angle_alpha 55.62
_cell_angle_beta 90.00
_cell_angle_gamma 90.00
_symmetry_space_group_name_H-M 'P 1'
_symmetry_Int_Tables_number 1
_symmetry_space_group_name_Hall 'P 1'
loop_
_atom_site_label
_atom_site_fract_x
_atom_site_fract_y
_atom_site_fract_z
_atom_site_occupancy
O1 0.0574 0.2505 0.9380 1
Zn1 0.7329 0.2532 0.2498 1
Ho1 0.8189 0.7335 0.7511 1
Zn2 0.2671 0.2532 0.7498 1
O2 0.7881 0.8764 0.2509 1
O3 0.5569 0.7458 0.5631 1
O4 0.6973 0.1405 0.7481 1
O5 0.9426 0.2505 0.4380 1
V1 0.2684 0.4999 0.0015 1
V2 0.7316 0.4999 0.5015 1
O6 0.5440 0.3820 0.9406 1
V3 0.7378 0.0021 0.9974 1
O7 0.0474 0.6161 0.5594 1
O8 0.9526 0.6161 0.0594 1
V4 0.2622 0.0021 0.4974 1
Ho2 0.1811 0.7335 0.2511 1
O9 0.3027 0.1405 0.2481 1
O10 0.4560 0.3820 0.4406 1
O11 0.2119 0.8764 0.7509 1
O12 0.4431 0.7458 0.0631 1
```